Record 1
{"formula": "Ba2CuOsO6", "functional": "PBE", "state": "optimized geometry", "lattice_angstrom": [[-2.872, 2.872, 4.388], [2.872, -2.872, 4.388], [2.872, 2.872, -4.388]], "species": ["Ba", "Ba", "Cu", "Os", "O", "O", "O", "O", "O", "O"], "fractional_positions": [[0.250, 0.750, 0.500], [0.750, 0.250, 0.500], [0.000, 0.000, 0.000], [0.500, 0.500, 0.000], [0.246, 0.721, 0.967], [0.278, 0.278, 0.000], [0.279, 0.246, 0.524], [0.721, 0.754, 0.476], [0.722, 0.722, 0.000], [0.754, 0.279, 0.033]], "magnetic_moment_mub_per_cell": 1.00, "energy_mp2020_ev_per_cell": -70.0, "total_energy_ev_per_cell": -65.849, "ef_ev_per_atom": -2.11}

Record 2
{"formula": "Tb6CoTe2", "functional": "PBE", "state": "optimized geometry", "lattice_angstrom": [[8.447, 0.000, 0.000], [-4.224, 7.316, 0.000], [0.000, 0.000, 3.937]], "species": ["Tb", "Tb", "Tb", "Tb", "Tb", "Tb", "Co", "Te", "Te"], "fractional_positions": [[0.000, 0.236, 0.000], [0.000, 0.595, 0.500], [0.236, 0.000, 0.000], [0.405, 0.405, 0.500], [0.595, 0.000, 0.500], [0.764, 0.764, 0.000], [0.000, 0.000, 0.500], [0.333, 0.667, 0.000], [0.667, 0.333, 0.000]], "energy_mp2020_ev_per_cell": -48.0, "total_energy_ev_per_cell": -47.181, "ef_ev_per_atom": -0.76}